1.
First-principles (PBE) data for crystalline CeSe2 at its relaxed geometry, as listed in Materials Project.

Summary:
space group	P2_1/c (14)
formation enthalpy at 0 K	-1894	meV per atom

a b c (Å): 6.9646 7.0923 7.1056
angles (deg): 90.00 102.54 90.00
With the nearest neighbours (Å) after each atom.
Sites, in units of the cell vectors:
Ce 0.2120 0.0521 0.3032  7 Se 2.84-2.96
Ce 0.2120 0.4479 0.8032  7 Se 2.84-2.96
Ce 0.7880 0.5521 0.1968  7 Se 2.84-2.96
Ce 0.7880 0.9479 0.6968  7 Se 2.84-2.96
Se 0.0645 0.7434 0.5145  4 Ce 2.93-2.96
Se 0.0645 0.7566 0.0145  4 Ce 2.93-2.96
Se 0.4411 0.1663 0.6687  3 Ce 2.84-2.85
Se 0.4411 0.3337 0.1687  3 Ce 2.84-2.85
Se 0.5589 0.6663 0.8313  3 Ce 2.84-2.85
Se 0.5589 0.8337 0.3313  3 Ce 2.84-2.85
Se 0.9355 0.2434 0.9855  4 Ce 2.93-2.96
Se 0.9355 0.2566 0.4855  4 Ce 2.93-2.96

2.
First-principles (PBE) data for crystalline Ca3B4H12O3 at its relaxed geometry, as listed in Materials Project.

Summary:
M_tot	0.00	μB/cell
space group	Cmc2_1 (36)
formation enthalpy at 0 K	-1085	meV per atom

a b c (Å): 6.0670 6.0670 11.8697
angles (deg): 90.00 90.00 83.73
With the nearest neighbours (Å) after each atom.
Sites, in units of the cell vectors:
Ca 0.0086 0.4519 0.7296  3 O 2.31-2.45, 6 H 2.41-2.59
Ca 0.0772 0.9228 0.5000  3 O 2.31-2.42, 4 H 2.52-2.53
Ca 0.4519 0.0086 0.2296  3 O 2.31-2.45, 6 H 2.41-2.59
Ca 0.5481 0.9914 0.7296  3 O 2.31-2.45, 6 H 2.41-2.59
Ca 0.9228 0.0772 0.0000  3 O 2.31-2.42, 4 H 2.52-2.53
Ca 0.9914 0.5481 0.2296  3 O 2.31-2.45, 6 H 2.41-2.59
B 0.0013 0.9987 0.7249  3 O 1.39
B 0.0064 0.4447 0.4767  4 H 1.22-1.23
B 0.4447 0.0064 0.9767  4 H 1.22-1.23
B 0.4946 0.5054 0.7405  4 H 1.22-1.23
B 0.5054 0.4946 0.2405  4 H 1.22-1.23
B 0.5553 0.9936 0.4767  4 H 1.22-1.23
B 0.9936 0.5553 0.9767  4 H 1.22-1.23
B 0.9987 0.0013 0.2249  3 O 1.39
H 0.0717 0.3087 0.4043  1 B 1.23
H 0.1100 0.6429 0.0436  1 B 1.22
H 0.1136 0.4029 0.9342  1 B 1.22
H 0.1699 0.5084 0.5221  1 B 1.23
H 0.3087 0.0717 0.9043  1 B 1.23
H 0.3574 0.6426 0.6961  1 B 1.23
H 0.3571 0.8900 0.0436  1 B 1.22
H 0.3825 0.4012 0.3017  1 B 1.22
H 0.4012 0.3825 0.8017  1 B 1.22
H 0.4029 0.1136 0.4342  1 B 1.22
H 0.4027 0.5973 0.1649  1 B 1.22
H 0.4916 0.8301 0.5221  1 B 1.23
H 0.5084 0.1699 0.0221  1 B 1.23
H 0.5973 0.4027 0.6649  1 B 1.22
H 0.5971 0.8864 0.9342  1 B 1.22
H 0.5988 0.6175 0.3017  1 B 1.22
H 0.6175 0.5988 0.8017  1 B 1.22
H 0.6429 0.1100 0.5436  1 B 1.22
H 0.6426 0.3574 0.1961  1 B 1.23
H 0.6913 0.9283 0.4043  1 B 1.23
H 0.8301 0.4916 0.0221  1 B 1.23
H 0.8864 0.5971 0.4342  1 B 1.22
H 0.8900 0.3571 0.5436  1 B 1.22
H 0.9283 0.6913 0.9043  1 B 1.23
O 0.0824 0.1826 0.1765  1 B 1.39
O 0.1206 0.8794 0.3075  1 B 1.39
O 0.1826 0.0824 0.6765  1 B 1.39
O 0.8174 0.9176 0.1765  1 B 1.39
O 0.8794 0.1206 0.8075  1 B 1.39
O 0.9176 0.8174 0.6765  1 B 1.39

3.
First-principles (PBE) data for crystalline Ba14Na11Li5N6 at its relaxed geometry, as listed in Materials Project.

Summary:
M_tot	0.01	μB/cell
space group	F-43m (216)
formation enthalpy at 0 K	-253	meV per atom

a b c (Å): 12.6574 12.6574 12.6574
angles (deg): 60.00 60.00 60.00
With the nearest neighbours (Å) after each atom.
Sites, in units of the cell vectors:
Ba 0.1903 0.6032 0.6032  3 N 2.72
Ba 0.2146 0.2146 0.7854  1 N 2.50
Ba 0.2146 0.7854 0.2146  1 N 2.50
Ba 0.2146 0.7854 0.7854  1 N 2.50
Ba 0.3976 0.3976 0.3976  3 N 2.70
Ba 0.3976 0.3976 0.8072  3 N 2.70
Ba 0.3976 0.8072 0.3976  3 N 2.70
Ba 0.6032 0.1903 0.6032  3 N 2.72
Ba 0.6032 0.6032 0.1903  3 N 2.72
Ba 0.6032 0.6032 0.6032  3 N 2.72
Ba 0.7854 0.2146 0.2146  1 N 2.50
Ba 0.7854 0.2146 0.7854  1 N 2.50
Ba 0.7854 0.7854 0.2146  1 N 2.50
Ba 0.8072 0.3976 0.3976  3 N 2.70
Na 0.0000 0.0000 0.0000  6 Ba 3.84
Na 0.1703 0.1703 0.1703  6 Na 3.81-4.03
Na 0.1703 0.1703 0.4891  6 Na 3.81-4.03
Na 0.1703 0.4891 0.1703  6 Na 3.81-4.03
Na 0.4891 0.1703 0.1703  6 Na 3.81-4.03
Na 0.5104 0.5104 0.9896  2 Li 3.60, 2 Na 3.81
Na 0.5104 0.9896 0.5104  2 Li 3.60, 2 Na 3.81
Na 0.5104 0.9896 0.9896  2 Li 3.60, 2 Na 3.81
Na 0.9896 0.5104 0.5104  2 Li 3.60, 2 Na 3.81
Na 0.9896 0.5104 0.9896  2 Li 3.60, 2 Na 3.81
Na 0.9896 0.9896 0.5104  2 Li 3.60, 2 Na 3.81
Li 0.4291 0.8570 0.8570  3 Na 3.60, 3 Ba 3.84
Li 0.5000 0.5000 0.5000  6 N 2.60
Li 0.8570 0.4291 0.8570  3 Na 3.60, 3 Ba 3.84
Li 0.8570 0.8570 0.4291  3 Na 3.60, 3 Ba 3.84
Li 0.8570 0.8570 0.8570  3 Na 3.60, 3 Ba 3.84
N 0.3546 0.3546 0.6454  5 Ba 2.50-2.72, 1 Li 2.60
N 0.3546 0.6454 0.3546  5 Ba 2.50-2.72, 1 Li 2.60
N 0.3546 0.6454 0.6454  5 Ba 2.50-2.72, 1 Li 2.60
N 0.6454 0.3546 0.3546  5 Ba 2.50-2.72, 1 Li 2.60
N 0.6454 0.3546 0.6454  5 Ba 2.50-2.72, 1 Li 2.60
N 0.6454 0.6454 0.3546  5 Ba 2.50-2.72, 1 Li 2.60

4.
First-principles (PBE) data for crystalline AgBrO2 at its relaxed geometry, as listed in Materials Project.

Summary:
M_tot	0.00	μB/cell
space group	C2/c (15)
formation enthalpy at 0 K	-202	meV per atom

a b c (Å): 11.0475 11.0475 3.6185
angles (deg): 90.32 90.32 153.76
With the nearest neighbours (Å) after each atom.
Sites, in units of the cell vectors:
Ag 0.0000 0.5000 0.0000  2 Br 2.53
Ag 0.5000 0.0000 0.5000  2 Br 2.53
Br 0.1575 0.8425 0.7500  2 Ag 2.53
Br 0.8425 0.1575 0.2500  2 Ag 2.53
O 0.3462 0.4080 0.7458  1 O 1.23
O 0.4080 0.3462 0.2458  1 O 1.23
O 0.5920 0.6538 0.7542  1 O 1.23
O 0.6538 0.5920 0.2542  1 O 1.23

5.
First-principles (PBE) data for crystalline Ba4SrRe3ClO15 at its relaxed geometry, as listed in Materials Project.

Summary:
M_tot	0.01	μB/cell
space group	P31m (157)
formation enthalpy at 0 K	-2766	meV per atom

a b c (Å): 11.0038 11.0038 7.8924
angles (deg): 90.00 90.00 120.00
With the nearest neighbours (Å) after each atom.
Sites, in units of the cell vectors:
Ba 0.0000 0.2639 0.0000  7 O 2.77-3.01
Ba 0.0000 0.7360 0.5004  7 O 2.77-3.02
Ba 0.2639 0.0000 0.0000  7 O 2.77-3.01
Ba 0.2640 0.2640 0.5004  7 O 2.77-3.02
Ba 0.3333 0.6667 0.2412  9 O 2.74-2.80
Ba 0.6667 0.3333 0.2412  9 O 2.74-2.80
Ba 0.7360 0.0000 0.5004  7 O 2.77-3.02
Ba 0.7361 0.7361 0.0000  7 O 2.77-3.01
Sr 0.3333 0.6667 0.7445  9 O 2.68-2.77
Sr 0.6667 0.3333 0.7445  9 O 2.68-2.77
Re 0.0000 0.3904 0.4456  5 O 1.76-1.87
Re 0.0000 0.6090 0.9414  5 O 1.77-1.87
Re 0.3904 0.0000 0.4456  5 O 1.76-1.87
Re 0.3910 0.3910 0.9414  5 O 1.77-1.87
Re 0.6090 0.0000 0.9414  5 O 1.77-1.87
Re 0.6096 0.6096 0.4456  5 O 1.76-1.87
Cl 0.0000 0.0000 0.2750  6 Ba 3.41-3.62, 9 O 3.46-3.78
Cl 0.0000 0.0000 0.7750  6 Ba 3.40-3.62, 9 O 3.43-3.80
O 0.0000 0.2917 0.6209  1 Re 1.76
O 0.0000 0.7065 0.1193  1 Re 1.77
O 0.1324 0.3897 0.3014  1 Re 1.85
O 0.1334 0.5543 0.9819  1 Re 1.87
O 0.1335 0.5778 0.4898  1 Re 1.87
O 0.1341 0.7422 0.7997  1 Re 1.85
O 0.2573 0.8676 0.3014  1 Re 1.85
O 0.2578 0.3919 0.7997  1 Re 1.85
O 0.2917 0.0000 0.6209  1 Re 1.76
O 0.2935 0.2935 0.1193  1 Re 1.77
O 0.3897 0.1324 0.3014  1 Re 1.85
O 0.3919 0.2578 0.7997  1 Re 1.85
O 0.4209 0.8666 0.9819  1 Re 1.87
O 0.4222 0.5557 0.4898  1 Re 1.87
O 0.4443 0.8665 0.4898  1 Re 1.87
O 0.4457 0.5791 0.9819  1 Re 1.87
O 0.5543 0.1334 0.9819  1 Re 1.87
O 0.5557 0.4222 0.4898  1 Re 1.87
O 0.5778 0.1335 0.4898  1 Re 1.87
O 0.5791 0.4457 0.9819  1 Re 1.87
O 0.6081 0.8659 0.7997  1 Re 1.85
O 0.6103 0.7427 0.3014  1 Re 1.85
O 0.7065 0.0000 0.1193  1 Re 1.77
O 0.7083 0.7083 0.6209  1 Re 1.76
O 0.7422 0.1341 0.7997  1 Re 1.85
O 0.7427 0.6103 0.3014  1 Re 1.85
O 0.8665 0.4443 0.4898  1 Re 1.87
O 0.8659 0.6081 0.7997  1 Re 1.85
O 0.8666 0.4209 0.9819  1 Re 1.87
O 0.8676 0.2573 0.3014  1 Re 1.85

6.
First-principles (PBE) data for crystalline Gd4Fe34C3 at its relaxed geometry, as listed in Materials Project.

Summary:
M_tot	74.21	μB/cell
space group	P-1 (2)
formation enthalpy at 0 K	-30	meV per atom

a b c (Å): 6.4423 6.4759 12.8968
angles (deg): 83.78 83.47 83.72
With the nearest neighbours (Å) after each atom.
Sites, in units of the cell vectors:
Gd 0.1505 0.1642 0.0763  2 C 2.52
Gd 0.1618 0.1599 0.5736  1 C 2.54
Gd 0.8382 0.8401 0.4264  1 C 2.54
Gd 0.8495 0.8358 0.9237  2 C 2.52
Fe 0.9995 0.4985 0.2506  10 Fe 2.42-2.63
Fe 0.0005 0.5015 0.7494  10 Fe 2.42-2.63
Fe 0.1554 0.1589 0.8219  1 C 1.90
Fe 0.1554 0.6444 0.0779  9 Fe 2.46-2.65
Fe 0.1560 0.6486 0.5768  9 Fe 2.46-2.66
Fe 0.1575 0.1565 0.3250  1 C 1.90
Fe 0.2128 0.5011 0.3931  8 Fe 2.42-2.64
Fe 0.2152 0.7855 0.7491  1 C 1.85
Fe 0.2148 0.7857 0.2505  1 C 1.85
Fe 0.2166 0.4993 0.8916  9 Fe 2.42-2.71
Fe 0.3518 0.8422 0.4228  9 Fe 2.47-2.68
Fe 0.3545 0.8416 0.9217  1 C 1.90
Fe 0.4026 0.4039 0.2015  7 Fe 2.39-2.66
Fe 0.4037 0.4045 0.7009  7 Fe 2.39-2.66
Fe 0.4983 0.0007 0.7483  10 Fe 2.41-2.66
Fe 0.4993 0.7833 0.6073  8 Fe 2.41-2.68
Fe 0.4991 0.7862 0.1079  1 C 1.85
Fe 0.5000 0.5000 0.0000  10 Fe 2.42-2.63
Fe 0.5000 0.5000 0.5000  10 Fe 2.41-2.62
Fe 0.5009 0.2138 0.8921  1 C 1.85
Fe 0.5007 0.2167 0.3927  8 Fe 2.41-2.68
Fe 0.5017 0.9993 0.2517  10 Fe 2.41-2.66
Fe 0.5963 0.5955 0.2991  7 Fe 2.39-2.66
Fe 0.5974 0.5961 0.7985  7 Fe 2.39-2.66
Fe 0.6455 0.1584 0.0783  1 C 1.90
Fe 0.6482 0.1578 0.5772  9 Fe 2.47-2.68
Fe 0.7834 0.5007 0.1084  9 Fe 2.42-2.71
Fe 0.7852 0.2143 0.7495  1 C 1.85
Fe 0.7848 0.2145 0.2509  1 C 1.85
Fe 0.7872 0.4989 0.6069  8 Fe 2.42-2.64
Fe 0.8425 0.8435 0.6750  1 C 1.90
Fe 0.8440 0.3514 0.4232  9 Fe 2.46-2.66
Fe 0.8446 0.3556 0.9221  9 Fe 2.46-2.65
Fe 0.8446 0.8411 0.1781  1 C 1.90
C 0.0000 0.0009 0.2510  4 Fe 1.85-1.90
C 0.0000 0.9991 0.7490  4 Fe 1.85-1.90
C 0.5000 0.0000 0.0000  4 Fe 1.85-1.90

7.
First-principles (PBE) data for crystalline EuOF at its relaxed geometry, as listed in Materials Project.

Summary:
space group	R-3m (166)
formation enthalpy at 0 K	-3568	meV per atom

a b c (Å): 6.8906 6.8906 6.8906
angles (deg): 33.33 33.33 33.33
With the nearest neighbours (Å) after each atom.
Sites, in units of the cell vectors:
Eu 0.2426 0.2426 0.2426  4 O 2.32-2.37, 4 F 2.50-2.52
Eu 0.7574 0.7574 0.7574  4 O 2.32-2.37, 4 F 2.50-2.52
O 0.1236 0.1236 0.1236  4 Eu 2.32-2.37
O 0.8764 0.8764 0.8764  4 Eu 2.32-2.37
F 0.3716 0.3716 0.3716  4 Eu 2.50-2.52, 3 F 2.73
F 0.6284 0.6284 0.6284  4 Eu 2.50-2.52, 3 F 2.73

8.
First-principles (PBE) data for crystalline KTi3Si2P6O25 at its relaxed geometry, as listed in Materials Project.

Summary:
M_tot	2.17	μB/cell
space group	P-31c (163)
formation enthalpy at 0 K	-2997	meV per atom

a b c (Å): 8.4086 8.4086 17.3142
angles (deg): 90.00 90.00 120.00
With the nearest neighbours (Å) after each atom.
Sites, in units of the cell vectors:
K 0.3333 0.6667 0.2500  6 O 3.13
K 0.6667 0.3333 0.7500  6 O 3.13
Ti 0.3333 0.6667 0.0243  6 O 1.99-2.00
Ti 0.3333 0.6667 0.4757  6 O 1.99-2.00
Ti 0.3333 0.6667 0.7500  6 O 1.97
Ti 0.6667 0.3333 0.2500  6 O 1.97
Ti 0.6667 0.3333 0.5243  6 O 1.99-2.00
Ti 0.6667 0.3333 0.9757  6 O 1.99-2.00
Si 0.0000 0.0000 0.0923  4 O 1.60-1.63
Si 0.0000 0.0000 0.4077  4 O 1.60-1.63
Si 0.0000 0.0000 0.5923  4 O 1.60-1.63
Si 0.0000 0.0000 0.9077  4 O 1.60-1.63
P 0.0503 0.3827 0.8902  4 O 1.52-1.60
P 0.0503 0.6676 0.6098  4 O 1.52-1.60
P 0.3324 0.3827 0.6098  4 O 1.52-1.60
P 0.3324 0.9497 0.8902  4 O 1.52-1.60
P 0.3827 0.0503 0.3902  4 O 1.52-1.60
P 0.3827 0.3324 0.1098  4 O 1.52-1.60
P 0.6173 0.6676 0.8902  4 O 1.52-1.60
P 0.6173 0.9497 0.6098  4 O 1.52-1.60
P 0.6676 0.0503 0.1098  4 O 1.52-1.60
P 0.6676 0.6173 0.3902  4 O 1.52-1.60
P 0.9497 0.3324 0.3902  4 O 1.52-1.60
P 0.9497 0.6173 0.1098  4 O 1.52-1.60
O 0.0000 0.0000 0.0000  2 Si 1.60
O 0.0000 0.0000 0.5000  2 Si 1.60
O 0.0194 0.1902 0.3744  1 P 1.60, 1 Si 1.63
O 0.0194 0.8292 0.1256  1 P 1.60, 1 Si 1.63
O 0.1221 0.5177 0.4060  1 P 1.53
O 0.1221 0.6044 0.0940  1 P 1.53
O 0.1364 0.4783 0.8143  1 P 1.52
O 0.1364 0.6581 0.6857  1 P 1.52
O 0.1708 0.1902 0.1256  1 P 1.60, 1 Si 1.63
O 0.1708 0.9806 0.3744  1 P 1.60, 1 Si 1.63
O 0.1850 0.4462 0.9582  1 P 1.53
O 0.1850 0.7389 0.5418  1 P 1.53
O 0.1902 0.0194 0.8744  1 P 1.60, 1 Si 1.63
O 0.1902 0.1708 0.6256  1 P 1.60, 1 Si 1.63
O 0.2611 0.4462 0.5418  1 P 1.53
O 0.2611 0.8150 0.9582  1 P 1.53
O 0.3419 0.4783 0.6857  1 P 1.52
O 0.3419 0.8636 0.8143  1 P 1.52
O 0.3956 0.5177 0.0940  1 P 1.53
O 0.3956 0.8779 0.4060  1 P 1.53
O 0.4462 0.1850 0.4582  1 P 1.53
O 0.4462 0.2611 0.0418  1 P 1.53
O 0.4783 0.1364 0.3143  1 P 1.52
O 0.4783 0.3419 0.1857  1 P 1.52
O 0.4823 0.6044 0.4060  1 P 1.53
O 0.4823 0.8779 0.0940  1 P 1.53
O 0.5177 0.1221 0.9060  1 P 1.53
O 0.5177 0.3956 0.5940  1 P 1.53
O 0.5217 0.6581 0.8143  1 P 1.52
O 0.5217 0.8636 0.6857  1 P 1.52
O 0.5538 0.7389 0.9582  1 P 1.53
O 0.5538 0.8150 0.5418  1 P 1.53
O 0.6044 0.1221 0.5940  1 P 1.53
O 0.6044 0.4823 0.9060  1 P 1.53
O 0.6581 0.1364 0.1857  1 P 1.52
O 0.6581 0.5217 0.3143  1 P 1.52
O 0.7389 0.1850 0.0418  1 P 1.53
O 0.7389 0.5538 0.4582  1 P 1.53
O 0.8098 0.8292 0.3744  1 P 1.60, 1 Si 1.63
O 0.8098 0.9806 0.1256  1 P 1.60, 1 Si 1.63
O 0.8150 0.2611 0.4582  1 P 1.53
O 0.8150 0.5538 0.0418  1 P 1.53
O 0.8292 0.0194 0.6256  1 P 1.60, 1 Si 1.63
O 0.8292 0.8098 0.8744  1 P 1.60, 1 Si 1.63
O 0.8636 0.3419 0.3143  1 P 1.52
O 0.8636 0.5217 0.1857  1 P 1.52
O 0.8779 0.3956 0.9060  1 P 1.53
O 0.8779 0.4823 0.5940  1 P 1.53
O 0.9806 0.1708 0.8744  1 P 1.60, 1 Si 1.63
O 0.9806 0.8098 0.6256  1 P 1.60, 1 Si 1.63

9.
First-principles (PBE) data for crystalline Ho3Tm at its relaxed geometry, as listed in Materials Project.

Summary:
space group	P6_3/mmc (194)
formation enthalpy at 0 K	10	meV per atom

a b c (Å): 7.1890 7.1890 5.5788
angles (deg): 90.00 90.00 120.00
With the nearest neighbours (Å) after each atom.
Sites, in units of the cell vectors:
Ho 0.1668 0.3335 0.2500  4 Tm 3.48-3.59, 8 Ho 3.48-3.60
Ho 0.1668 0.8332 0.2500  4 Tm 3.48-3.59, 8 Ho 3.48-3.60
Ho 0.3335 0.1668 0.7500  4 Tm 3.48-3.59, 8 Ho 3.48-3.60
Ho 0.6665 0.8332 0.2500  4 Tm 3.48-3.59, 8 Ho 3.48-3.60
Ho 0.8332 0.1668 0.7500  4 Tm 3.48-3.59, 8 Ho 3.48-3.60
Ho 0.8332 0.6665 0.7500  4 Tm 3.48-3.59, 8 Ho 3.48-3.60
Tm 0.3333 0.6667 0.7500  12 Ho 3.48-3.59
Tm 0.6667 0.3333 0.2500  12 Ho 3.48-3.59

10.
First-principles (PBE) data for crystalline Na5SbO5 at its relaxed geometry, as listed in Materials Project.

Summary:
space group	C2/m (12)
formation enthalpy at 0 K	-1850	meV per atom

a b c (Å): 5.8982 5.8982 6.4894
angles (deg): 107.24 107.24 44.53
With the nearest neighbours (Å) after each atom.
Sites, in units of the cell vectors:
Na 0.0000 0.0000 0.0000  4 O 2.24-2.37
Na 0.3020 0.3020 0.1763  5 O 2.30-2.54
Na 0.3215 0.3215 0.6398  5 O 2.29-2.45
Na 0.6785 0.6785 0.3602  5 O 2.29-2.45
Na 0.6980 0.6980 0.8237  5 O 2.30-2.54
Sb 0.0000 0.0000 0.5000  6 O 2.01-2.23
O 0.1319 0.1319 0.3440  1 Sb 2.01, 1 Na 2.24
O 0.1436 0.1436 0.7924  1 Sb 2.04
O 0.5000 0.5000 0.5000  2 Sb 2.23, 4 Na 2.40-2.49
O 0.8564 0.8564 0.2076  1 Sb 2.04
O 0.8681 0.8681 0.6560  1 Sb 2.01, 1 Na 2.24